{"formula": "LaCeMg6", "functional": "GGA-PBE", "state": "relaxed", "lattice": [[5.400, 0.000, 0.000], [0.000, 6.685, 0.000], [0.000, 0.000, 11.878]], "species": ["Mg", "La", "Mg", "Mg", "Mg", "Mg", "Mg", "Mg", "Mg", "Mg", "Ce", "Mg", "Mg", "Ce", "La", "Mg"], "fractional_positions": [[0.000, 0.245, 0.579], [0.500, 0.000, 0.164], [0.000, 0.255, 0.079], [0.000, 0.000, 0.341], [0.000, 0.500, 0.841], [0.500, 0.250, 0.417], [0.000, 0.500, 0.338], [0.000, 0.000, 0.838], [0.000, 0.755, 0.579], [0.500, 0.750, 0.917], [0.500, 0.000, 0.665], [0.500, 0.750, 0.417], [0.500, 0.250, 0.917], [0.500, 0.500, 0.165], [0.500, 0.500, 0.664], [0.000, 0.745, 0.079]], "total_magnetization_mub_per_atom": 0.120, "ef_ev_per_atom": 0.063}


{"formula": "Mg14SnW", "functional": "GGA-PBE", "state": "relaxed", "lattice": [[6.267, 0.000, 0.000], [-3.134, 5.428, 0.000], [0.000, 0.000, 10.197]], "species": ["Mg", "Mg", "Sn", "Mg", "Mg", "Mg", "Mg", "Mg", "Mg", "Mg", "Mg", "Mg", "Mg", "Mg", "W", "Mg"], "fractional_positions": [[0.666, 0.333, 0.125], [0.833, 0.667, 0.376], [0.167, 0.333, 0.125], [0.845, 0.172, 0.386], [0.833, 0.667, 0.874], [0.666, 0.834, 0.125], [0.328, 0.172, 0.386], [0.845, 0.172, 0.864], [0.328, 0.655, 0.864], [0.667, 0.334, 0.625], [0.328, 0.655, 0.386], [0.167, 0.834, 0.125], [0.166, 0.833, 0.625], [0.667, 0.833, 0.625], [0.167, 0.333, 0.625], [0.328, 0.172, 0.864]], "space_group": "P-6m2 (187)", "total_magnetization_mub_per_atom": 0.057, "ef_ev_per_atom": 0.107}


{"formula": "SmH8S3N3O10", "functional": "GGA-PBE", "state": "relaxed", "lattice": [[6.885, 0.000, 0.000], [2.545, 9.177, 0.000], [1.384, 3.424, 8.880]], "species": ["H", "S", "N", "H", "O", "O", "H", "O", "O", "H", "N", "H", "O", "O", "S", "O", "O", "H", "S", "O", "Sm", "H", "Sm", "H", "H", "N", "N", "H", "H", "S", "H", "H", "H", "O", "N", "O", "O", "O", "H", "O", "H", "S", "S", "O", "O", "N", "O", "O", "O", "O"], "fractional_positions": [[0.663, 0.643, 0.979], [0.692, 0.910, 0.216], [0.684, 0.741, 0.348], [0.204, 0.487, 0.319], [0.779, 0.175, 0.838], [0.044, 0.772, 0.671], [0.457, 0.622, 0.729], [0.507, 0.978, 0.808], [0.170, 0.031, 0.729], [0.013, 0.381, 0.724], [0.117, 0.565, 0.231], [0.796, 0.513, 0.681], [0.493, 0.022, 0.192], [0.457, 0.598, 0.124], [0.752, 0.309, 0.886], [0.790, 0.093, 0.564], [0.830, 0.969, 0.271], [0.154, 0.413, 0.127], [0.781, 0.242, 0.437], [0.543, 0.402, 0.876], [0.129, 0.078, 0.184], [0.543, 0.378, 0.271], [0.871, 0.922, 0.816], [0.846, 0.587, 0.873], [0.380, 0.248, 0.551], [0.569, 0.269, 0.355], [0.316, 0.259, 0.652], [0.620, 0.752, 0.449], [0.337, 0.357, 0.021], [0.248, 0.691, 0.114], [0.582, 0.186, 0.308], [0.610, 0.678, 0.317], [0.390, 0.322, 0.683], [0.221, 0.825, 0.162], [0.883, 0.435, 0.769], [0.231, 0.324, 0.098], [0.770, 0.870, 0.081], [0.247, 0.622, 0.523], [0.418, 0.814, 0.692], [0.769, 0.676, 0.902], [0.987, 0.619, 0.276], [0.308, 0.090, 0.784], [0.219, 0.758, 0.563], [0.210, 0.907, 0.436], [0.230, 0.130, 0.919], [0.431, 0.731, 0.645], [0.166, 0.739, 0.966], [0.956, 0.228, 0.329], [0.753, 0.378, 0.477], [0.834, 0.261, 0.034]], "space_group": "P-1 (2)", "total_magnetization_mub_per_atom": 0.000, "ef_ev_per_atom": -1.431}


{"formula": "RbNaMg6O7", "functional": "GGA-PBE", "state": "relaxed", "lattice": [[8.561, 0.000, 0.000], [0.000, 4.636, 0.000], [0.000, 0.000, 4.636]], "species": ["Na", "O", "Mg", "Mg", "O", "Mg", "Mg", "Mg", "O", "O", "Mg", "O", "O", "Rb", "O"], "fractional_positions": [[0.997, 0.000, 0.000], [0.264, 0.000, 0.000], [0.250, 0.000, 0.500], [0.250, 0.500, 0.000], [0.487, 0.500, 0.000], [0.499, 0.000, 0.000], [0.752, 0.500, 0.000], [0.508, 0.500, 0.500], [0.731, 0.500, 0.500], [0.009, 0.500, 0.000], [0.752, 0.000, 0.500], [0.009, 0.000, 0.500], [0.730, 0.000, 0.000], [0.027, 0.500, 0.500], [0.487, 0.000, 0.500]], "space_group": "P4mm (99)", "total_magnetization_mub_per_atom": 0.081, "ef_ev_per_atom": -2.153}


{"formula": "LiSiAg2", "functional": "GGA-PBE", "state": "relaxed", "lattice": [[-4.086, 1.032, 1.242], [-0.103, -3.539, 2.601], [1.201, 1.782, 2.472]], "species": ["Li", "Ag", "Ag", "Si"], "fractional_positions": [[0.500, 0.500, 0.000], [0.500, 0.000, 0.500], [0.000, 0.500, 0.500], [0.000, 0.000, 0.000]], "space_group": "P4/mmm (123)", "total_magnetization_mub_per_atom": 0.000, "ef_ev_per_atom": -0.052}


{"formula": "MgNbRh2", "functional": "GGA-PBE", "state": "relaxed", "lattice": [[3.813, -1.811, 1.463], [0.733, -0.422, 4.386], [-0.031, -4.048, 1.890]], "species": ["Rh", "Mg", "Nb", "Rh"], "fractional_positions": [[0.250, 0.250, 0.250], [0.500, 0.500, 0.500], [0.000, 0.000, 0.000], [0.750, 0.750, 0.750]], "space_group": "Fm-3m (225)", "ef_ev_per_atom": -0.490}


{"formula": "Cu3P8Se6Br3", "functional": "GGA-PBE", "state": "relaxed", "lattice": [[6.593, 0.000, 0.000], [0.000, 11.627, 0.000], [0.000, 0.000, 27.465]], "species": ["P", "Cu", "Se", "Se", "Se", "Cu", "P", "Se", "Br", "Br", "Se", "Br", "P", "P", "Se", "Br", "Se", "P", "Se", "Br", "P", "P", "Se", "P", "Cu", "P", "P", "Cu", "Br", "Cu", "P", "Cu", "Br", "Se", "Se", "P", "Cu", "Cu", "Br", "Se", "P", "P", "Cu", "Se", "Br", "P", "P", "Br", "Se", "P", "Se", "Cu", "P", "Se", "Se", "P", "P", "Se", "Se", "Se", "P", "Cu", "P", "Br", "P", "P", "P", "P", "P", "Se", "P", "Cu", "P", "P", "Br", "Se", "Se", "Se", "P", "P"], "fractional_positions": [[0.872, 0.044, 0.570], [0.298, 0.638, 0.250], [0.424, 0.333, 0.868], [0.576, 0.667, 0.368], [0.889, 0.889, 0.817], [0.739, 0.139, 0.504], [0.099, 0.047, 0.818], [0.657, 0.021, 0.130], [0.630, 0.840, 0.488], [0.630, 0.840, 0.012], [0.611, 0.389, 0.317], [0.926, 0.660, 0.250], [0.372, 0.456, 0.930], [0.346, 0.636, 0.898], [0.924, 0.167, 0.632], [0.074, 0.340, 0.750], [0.111, 0.111, 0.317], [0.872, 0.044, 0.930], [0.657, 0.021, 0.370], [0.130, 0.660, 0.488], [0.372, 0.456, 0.570], [0.846, 0.864, 0.898], [0.076, 0.833, 0.132], [0.861, 0.075, 0.432], [0.761, 0.639, 0.004], [0.139, 0.925, 0.932], [0.099, 0.047, 0.682], [0.261, 0.861, 0.496], [0.130, 0.660, 0.012], [0.261, 0.861, 0.004], [0.654, 0.364, 0.398], [0.798, 0.862, 0.250], [0.574, 0.160, 0.750], [0.843, 0.521, 0.870], [0.843, 0.521, 0.630], [0.654, 0.364, 0.102], [0.202, 0.138, 0.750], [0.761, 0.639, 0.496], [0.870, 0.340, 0.512], [0.389, 0.611, 0.683], [0.361, 0.425, 0.432], [0.154, 0.136, 0.102], [0.239, 0.361, 0.504], [0.576, 0.667, 0.132], [0.370, 0.160, 0.512], [0.599, 0.453, 0.818], [0.139, 0.925, 0.568], [0.426, 0.840, 0.250], [0.111, 0.111, 0.183], [0.128, 0.956, 0.430], [0.343, 0.979, 0.630], [0.702, 0.362, 0.750], [0.128, 0.956, 0.070], [0.157, 0.479, 0.370], [0.343, 0.979, 0.870], [0.154, 0.136, 0.398], [0.599, 0.453, 0.682], [0.389, 0.611, 0.817], [0.889, 0.889, 0.683], [0.076, 0.833, 0.368], [0.401, 0.547, 0.182], [0.239, 0.361, 0.996], [0.346, 0.636, 0.602], [0.370, 0.160, 0.988], [0.628, 0.544, 0.070], [0.861, 0.075, 0.068], [0.639, 0.575, 0.568], [0.639, 0.575, 0.932], [0.846, 0.864, 0.602], [0.611, 0.389, 0.183], [0.361, 0.425, 0.068], [0.739, 0.139, 0.996], [0.901, 0.953, 0.182], [0.628, 0.544, 0.430], [0.870, 0.340, 0.988], [0.924, 0.167, 0.868], [0.157, 0.479, 0.130], [0.424, 0.333, 0.632], [0.901, 0.953, 0.318], [0.401, 0.547, 0.318]], "space_group": "Pnma (62)", "total_magnetization_mub_per_atom": 0.000, "ef_ev_per_atom": -0.262}


{"formula": "BC5", "functional": "GGA-PBE", "state": "relaxed", "lattice": [[-1.258, 1.258, 5.705], [1.258, -1.258, 5.705], [1.258, 1.258, -5.705]], "species": ["C", "B", "C", "C", "C", "C"], "fractional_positions": [[0.500, 0.500, 0.000], [0.750, 0.250, 0.500], [0.844, 0.844, 0.000], [0.156, 0.156, 0.000], [0.420, 0.920, 0.500], [0.080, 0.580, 0.500]], "space_group": "I-4m2 (119)", "total_magnetization_mub_per_atom": 0.001, "ef_ev_per_atom": 0.229}


{"formula": "KDyC2O6", "functional": "GGA-PBE", "state": "relaxed", "lattice": [[4.816, 4.248, 0.000], [-4.816, 4.248, 0.000], [0.000, 2.471, 6.624]], "species": ["O", "O", "K", "O", "C", "K", "C", "O", "Dy", "O", "O", "O", "O", "O", "O", "O", "C", "C", "Dy", "O"], "fractional_positions": [[0.944, 0.408, 0.266], [0.792, 0.743, 0.623], [0.881, 0.119, 0.750], [0.257, 0.208, 0.877], [0.144, 0.397, 0.249], [0.119, 0.881, 0.250], [0.856, 0.603, 0.751], [0.056, 0.592, 0.734], [0.592, 0.408, 0.250], [0.700, 0.466, 0.899], [0.408, 0.944, 0.766], [0.592, 0.056, 0.234], [0.534, 0.300, 0.601], [0.300, 0.534, 0.101], [0.208, 0.257, 0.377], [0.743, 0.792, 0.123], [0.397, 0.144, 0.749], [0.603, 0.856, 0.251], [0.408, 0.592, 0.750], [0.466, 0.700, 0.399]], "space_group": "C2/c (15)", "total_magnetization_mub_per_atom": 0.000, "ef_ev_per_atom": -2.578}


{"formula": "Mg14NbSiO16", "functional": "GGA-PBE", "state": "relaxed", "lattice": [[8.667, 0.000, 0.000], [0.000, 8.648, 0.000], [0.000, 0.000, 4.303]], "species": ["O", "Mg", "Mg", "Mg", "O", "Mg", "Nb", "O", "O", "O", "Mg", "Mg", "Mg", "O", "Mg", "O", "O", "Mg", "O", "Mg", "Mg", "O", "O", "O", "O", "O", "Mg", "O", "Si", "O", "Mg", "Mg"], "fractional_positions": [[0.500, 0.749, 0.000], [0.254, 0.751, 0.000], [0.746, 0.249, 0.000], [0.000, 0.248, 0.500], [0.738, 0.500, 0.000], [0.254, 0.249, 0.000], [0.000, 0.500, 0.000], [0.735, 0.000, 0.000], [0.500, 0.251, 0.000], [0.751, 0.250, 0.500], [0.746, 0.000, 0.500], [0.254, 0.500, 0.500], [0.746, 0.751, 0.000], [0.262, 0.500, 0.000], [0.000, 0.752, 0.500], [0.265, 0.000, 0.000], [0.000, 0.242, 0.000], [0.746, 0.500, 0.500], [0.000, 0.000, 0.500], [0.254, 0.000, 0.500], [0.500, 0.000, 0.000], [0.500, 0.000, 0.500], [0.249, 0.250, 0.500], [0.000, 0.758, 0.000], [0.249, 0.750, 0.500], [0.751, 0.750, 0.500], [0.500, 0.500, 0.000], [0.000, 0.500, 0.500], [0.000, 0.000, 0.000], [0.500, 0.500, 0.500], [0.500, 0.750, 0.500], [0.500, 0.250, 0.500]], "space_group": "Pmmm (47)", "total_magnetization_mub_per_atom": 0.053, "ef_ev_per_atom": -2.735}


{"formula": "Sr5Rh2N6", "functional": "GGA-PBE", "state": "relaxed", "lattice": [[-1.579, 6.059, -0.803], [-1.784, -5.012, -4.436], [-9.542, -3.950, 8.301]], "species": ["Sr", "Sr", "Rh", "N", "N", "N", "N", "N", "Rh", "N", "Sr", "N", "Sr", "Rh", "N", "Sr", "Sr", "N", "Sr", "N", "Rh", "Sr", "Sr", "N", "Sr", "N"], "fractional_positions": [[0.115, 0.318, 0.499], [0.115, 0.797, 0.999], [0.537, 0.856, 0.558], [0.897, 0.991, 0.627], [0.714, 0.320, 0.356], [0.103, 0.009, 0.373], [0.897, 0.907, 0.127], [0.714, 0.394, 0.856], [0.537, 0.681, 0.058], [0.286, 0.606, 0.144], [0.000, 0.369, 0.750], [0.103, 0.093, 0.873], [0.885, 0.682, 0.501], [0.463, 0.144, 0.442], [0.416, 0.668, 0.919], [0.000, 0.631, 0.250], [0.680, 0.950, 0.277], [0.416, 0.748, 0.419], [0.680, 0.730, 0.777], [0.584, 0.252, 0.581], [0.463, 0.319, 0.942], [0.320, 0.050, 0.723], [0.320, 0.270, 0.223], [0.286, 0.680, 0.644], [0.885, 0.203, 0.001], [0.584, 0.332, 0.081]], "space_group": "C2/c (15)", "total_magnetization_mub_per_atom": 0.000, "ef_ev_per_atom": -0.488}


{"formula": "Sr3Ir2O7", "functional": "GGA-PBE", "state": "relaxed", "lattice": [[-4.641, 3.313, -1.263], [-1.062, 0.200, -5.739], [-5.558, -3.805, -1.798]], "species": ["Sr", "O", "O", "O", "O", "O", "Sr", "O", "O", "Ir", "Sr", "Ir"], "fractional_positions": [[0.500, 0.500, 0.000], [0.331, 0.756, 0.259], [0.220, 0.220, 0.325], [0.756, 0.331, 0.259], [0.780, 0.780, 0.675], [0.000, 0.000, 0.000], [0.693, 0.693, 0.392], [0.669, 0.244, 0.741], [0.244, 0.669, 0.741], [0.083, 0.083, 0.200], [0.307, 0.307, 0.608], [0.917, 0.917, 0.800]], "space_group": "C2/m (12)", "total_magnetization_mub_per_atom": 0.167, "ef_ev_per_atom": -2.047}


{"formula": "K2AlAgBr6", "functional": "GGA-PBE", "state": "relaxed", "lattice": [[5.021, 3.269, 4.694], [-0.487, -1.168, 7.505], [5.229, -4.251, 3.537]], "species": ["Br", "Ag", "Br", "Br", "Al", "K", "Br", "K", "Br", "Br"], "fractional_positions": [[0.235, 0.235, 0.765], [0.500, 0.500, 0.500], [0.235, 0.765, 0.765], [0.235, 0.765, 0.235], [0.000, 0.000, 0.000], [0.750, 0.750, 0.750], [0.765, 0.235, 0.765], [0.250, 0.250, 0.250], [0.765, 0.765, 0.235], [0.765, 0.235, 0.235]], "space_group": "Fm-3m (225)", "total_magnetization_mub_per_atom": 0.000, "ef_ev_per_atom": -1.497}